A geometry-optimized CaAg2O4 structure. Source: the Materials Project, functional PBE.

abc: 6.596 5.929 11.418
angles: 90.00 90.03 89.99
Fractional positions:
Ca  0.753  0.250  0.750
Ca  0.247  0.750  0.250
Ca  0.661  0.250  0.250
Ca  0.338  0.750  0.750
Ag  0.524  0.750  0.496
Ag  0.524  0.750  0.004
Ag  0.476  0.250  0.504
Ag  0.475  0.250  0.996
Ag  0.000  0.500  0.500
Ag  0.000  0.000  0.000
Ag  0.000  0.000  0.500
Ag  0.000  0.500  0.000
O  0.977  0.750  0.379
O  0.977  0.750  0.121
O  0.023  0.250  0.621
O  0.023  0.250  0.879
O  0.098  0.750  0.607
O  0.097  0.750  0.893
O  0.902  0.250  0.393
O  0.903  0.250  0.107
O  0.546  0.501  0.621
O  0.546  0.999  0.879
O  0.454  0.001  0.379
O  0.454  0.499  0.121
O  0.454  0.499  0.379
O  0.454  0.001  0.121
O  0.546  0.999  0.621
O  0.546  0.501  0.879

Size of the total moment   0.00 μB/f.u.
Excess energy over the best structure of this formula in the dataset   125 meV/atom

***

A geometry-optimized ScVRu2 structure. Source: the Materials Project, functional PBE.

abc: 4.387 4.387 4.387
angles: 60.00 60.00 60.00
Fractional positions:
Sc  0.000  0.000  0.000
V  0.500  0.500  0.500
Ru  0.250  0.250  0.250
Ru  0.750  0.750  0.750

***

A geometry-optimized DyTiFe5Co6 structure. Source: the Materials Project, functional PBE.

abc: 4.688 6.404 6.404
angles: 98.16 111.47 68.53
Fractional positions:
Dy  0.000  0.003  0.003
Ti  0.000  0.625  0.625
Fe  0.499  0.003  0.503
Fe  0.001  0.003  0.503
Fe  0.501  0.503  0.003
Fe  0.999  0.503  0.003
Fe  0.500  0.230  0.230
Co  0.722  0.781  0.224
Co  0.278  0.224  0.781
Co  0.500  0.776  0.776
Co  0.643  0.357  0.643
Co  0.357  0.643  0.357
Co  0.000  0.349  0.349

Size of the total moment   18.28 μB/f.u.

***

Calculated calculated density (Mg/m³), listed in the same order as above: 4.757 8.288 8.408
Calculated E_tot (eV per cell), listed in the same order as above: -133.1 -35.8 -99.2